1.
A plane-wave DFT calculation with PBE was carried out for an optimized crystal structure of Ce10B9C12.

Computed properties:
Energy of formation: -0.380 eV/atom
SG: P4_12_12

Geometry as POSCAR:
```
Ce10B9C12
1.0
8.317 0.000 0.000
0.000 8.317 0.000
0.000 0.000 24.679
Ce B C
40 36 48
Direct
0.397 0.083 0.208
0.417 0.897 0.458
0.010 0.899 0.941
0.603 0.917 0.708
0.601 0.510 0.191
0.899 0.795 0.805
0.705 0.201 0.819
0.689 0.008 0.331
0.083 0.397 0.792
0.510 0.601 0.809
0.295 0.601 0.555
0.990 0.101 0.441
0.601 0.295 0.445
0.992 0.311 0.169
0.008 0.689 0.669
0.205 0.101 0.695
0.201 0.705 0.181
0.189 0.492 0.419
0.897 0.417 0.542
0.917 0.603 0.292
0.492 0.189 0.581
0.399 0.490 0.691
0.811 0.508 0.919
0.701 0.795 0.569
0.899 0.010 0.059
0.795 0.701 0.431
0.583 0.103 0.958
0.101 0.990 0.559
0.399 0.705 0.945
0.705 0.399 0.055
0.799 0.295 0.681
0.490 0.399 0.309
0.299 0.205 0.069
0.295 0.799 0.319
0.103 0.583 0.042
0.795 0.899 0.195
0.101 0.205 0.305
0.311 0.992 0.831
0.508 0.811 0.081
0.205 0.299 0.931
0.629 0.498 0.611
0.629 0.124 0.117
0.624 0.871 0.867
0.800 0.708 0.024
0.208 0.700 0.774
0.287 0.404 0.219
0.904 0.213 0.969
0.582 0.582 0.500
0.376 0.129 0.367
0.002 0.129 0.861
0.792 0.300 0.274
0.700 0.208 0.226
0.502 0.371 0.889
0.876 0.371 0.383
0.871 0.624 0.133
0.918 0.082 0.750
0.498 0.629 0.389
0.713 0.596 0.719
0.082 0.918 0.250
0.124 0.629 0.883
0.998 0.871 0.361
0.096 0.787 0.469
0.129 0.002 0.139
0.213 0.904 0.031
0.129 0.376 0.633
0.404 0.287 0.781
0.300 0.792 0.726
0.418 0.418 0.000
0.371 0.876 0.617
0.596 0.713 0.281
0.371 0.502 0.111
0.200 0.292 0.524
0.292 0.200 0.476
0.708 0.800 0.976
0.871 0.998 0.639
0.787 0.096 0.531
0.409 0.300 0.842
0.699 0.006 0.429
0.200 0.909 0.092
0.800 0.091 0.592
0.494 0.199 0.679
0.709 0.003 0.485
0.506 0.409 0.948
0.591 0.700 0.342
0.601 0.107 0.058
0.184 0.300 0.583
0.200 0.684 0.833
0.899 0.607 0.192
0.199 0.494 0.321
0.994 0.301 0.071
0.684 0.200 0.167
0.316 0.800 0.667
0.607 0.899 0.808
0.409 0.506 0.052
0.497 0.209 0.735
0.503 0.791 0.235
0.091 0.800 0.408
0.800 0.316 0.333
0.399 0.893 0.558
0.997 0.291 0.015
0.300 0.184 0.417
0.006 0.699 0.571
0.494 0.591 0.448
0.909 0.994 0.698
0.301 0.994 0.929
0.700 0.591 0.658
0.006 0.091 0.802
0.209 0.497 0.265
0.801 0.506 0.821
0.591 0.494 0.552
0.300 0.409 0.158
0.791 0.503 0.765
0.101 0.393 0.692
0.003 0.709 0.515
0.816 0.700 0.083
0.393 0.101 0.308
0.291 0.997 0.985
0.700 0.816 0.917
0.107 0.601 0.942
0.909 0.200 0.908
0.994 0.909 0.302
0.893 0.399 0.442
0.091 0.006 0.198
0.506 0.801 0.179
```

---

2.
A plane-wave DFT calculation with PBE was carried out for an optimized crystal structure of Zr3V2Ga4.

Computed properties:
Energy of formation: -0.467 eV/atom
SG: Pnma

Geometry as POSCAR:
```
Zr3V2Ga4
1.0
5.426 0.000 0.000
0.000 13.729 0.000
0.000 0.000 16.931
Ga V Zr
32 16 24
Direct
0.250 0.676 0.281
0.750 0.625 0.940
0.250 0.989 0.259
0.250 0.199 0.123
0.493 0.840 0.566
0.250 0.511 0.759
0.007 0.660 0.066
0.250 0.551 0.516
0.750 0.892 0.193
0.750 0.324 0.719
0.507 0.340 0.934
0.993 0.340 0.934
0.250 0.301 0.623
0.007 0.840 0.566
0.250 0.375 0.060
0.750 0.176 0.219
0.750 0.449 0.484
0.250 0.949 0.016
0.250 0.392 0.307
0.993 0.160 0.434
0.750 0.801 0.877
0.750 0.608 0.693
0.250 0.108 0.807
0.750 0.699 0.377
0.750 0.875 0.440
0.250 0.824 0.781
0.493 0.660 0.066
0.507 0.160 0.434
0.750 0.051 0.984
0.750 0.489 0.241
0.750 0.011 0.741
0.250 0.125 0.560
0.483 0.662 0.812
0.517 0.338 0.188
0.509 0.459 0.630
0.009 0.541 0.370
0.983 0.162 0.688
0.517 0.162 0.688
0.491 0.959 0.870
0.991 0.459 0.630
0.983 0.338 0.188
0.991 0.041 0.130
0.017 0.662 0.812
0.009 0.959 0.870
0.491 0.541 0.370
0.483 0.838 0.312
0.509 0.041 0.130
0.017 0.838 0.312
0.750 0.030 0.566
0.250 0.973 0.673
0.750 0.320 0.349
0.250 0.680 0.651
0.250 0.769 0.941
0.250 0.970 0.434
0.250 0.527 0.173
0.250 0.354 0.465
0.750 0.687 0.210
0.250 0.146 0.965
0.750 0.231 0.059
0.750 0.180 0.849
0.250 0.313 0.790
0.750 0.470 0.066
0.250 0.530 0.934
0.750 0.473 0.827
0.750 0.854 0.035
0.250 0.187 0.290
0.750 0.269 0.559
0.750 0.813 0.710
0.750 0.646 0.535
0.750 0.027 0.327
0.250 0.820 0.151
0.250 0.731 0.441
```

---

3.
A plane-wave DFT calculation with PBE was carried out for an optimized crystal structure of Na8Zn3Si3GeS3O24.

Computed properties:
Energy of formation: -2.239 eV/atom
SG: P1
E (MP2020): -6.2015 eV per atom

Geometry as POSCAR:
```
Na8Zn3Si3GeS3O24
1.0
-0.062 2.497 8.711
-7.587 0.713 -4.971
-6.093 -20.280 6.242
O Na Zn S Si Ge
72 24 9 9 9 3
Direct
0.850 0.312 0.529
0.797 0.793 0.305
0.205 0.223 0.699
0.097 0.611 0.356
0.650 0.125 0.138
0.218 0.207 0.809
0.209 0.013 0.304
0.206 0.992 0.193
0.656 0.519 0.646
0.146 0.523 0.860
0.503 0.365 0.416
0.830 0.481 0.427
0.881 0.351 0.640
0.004 0.190 0.910
0.999 0.196 0.191
0.195 0.195 0.411
0.312 0.842 0.251
0.524 0.164 0.924
0.475 0.151 0.248
0.676 0.158 0.748
0.831 0.804 0.578
0.849 0.374 0.922
0.007 0.197 0.302
0.646 0.166 0.429
0.478 0.337 0.752
0.867 0.531 0.754
0.481 0.305 0.024
0.353 0.474 0.359
0.306 0.478 0.755
0.471 0.168 0.525
0.186 0.166 0.080
0.151 0.447 0.978
0.487 0.627 0.580
0.771 0.943 0.692
0.546 0.683 0.972
0.000 0.790 0.810
0.153 0.461 0.243
0.129 0.479 0.577
0.366 0.510 0.077
0.340 0.848 0.579
0.316 0.447 0.470
0.474 0.110 0.646
0.831 0.519 0.024
0.465 0.351 0.147
0.789 0.801 0.194
0.150 0.684 0.474
0.377 0.885 0.860
0.797 0.802 0.910
0.830 0.035 0.083
0.838 0.022 0.410
0.176 0.997 0.913
0.682 0.513 0.524
0.179 0.696 0.756
0.495 0.807 0.761
0.693 0.152 0.026
0.959 0.805 0.082
0.623 0.495 0.916
0.317 0.858 0.979
0.514 0.646 0.862
0.807 0.008 0.811
0.527 0.685 0.252
0.968 0.172 0.584
0.002 0.823 0.413
0.564 0.846 0.475
0.147 0.653 0.081
0.181 0.031 0.587
0.524 0.907 0.359
0.841 0.301 0.252
0.523 0.875 0.079
0.686 0.532 0.252
0.878 0.513 0.147
0.031 0.803 0.699
0.000 0.615 0.250
0.983 0.684 0.922
0.369 0.373 0.246
0.699 0.685 0.433
0.629 0.996 0.257
0.348 0.681 0.660
0.013 0.011 0.999
0.663 0.321 0.830
0.318 0.652 0.161
0.995 0.992 0.498
0.324 0.011 0.425
0.313 0.293 0.925
0.284 0.955 0.073
0.643 0.646 0.733
0.055 0.346 0.081
0.706 0.039 0.907
0.982 0.345 0.749
0.042 0.714 0.571
0.661 0.696 0.084
0.375 0.013 0.740
0.677 0.334 0.335
0.983 0.316 0.411
0.652 0.940 0.583
0.300 0.331 0.582
0.014 0.996 0.140
0.989 0.985 0.354
0.650 0.316 0.676
0.349 0.693 0.515
0.332 0.696 0.343
0.659 0.346 0.170
0.309 0.655 0.016
0.003 0.018 0.851
0.970 0.968 0.643
0.340 0.371 0.415
0.300 0.308 0.753
0.000 0.288 0.247
0.620 0.660 0.916
0.298 0.999 0.249
0.672 0.046 0.083
0.701 0.704 0.250
0.957 0.330 0.583
0.013 0.706 0.755
0.366 0.038 0.585
0.024 0.655 0.419
0.375 0.336 0.083
0.642 0.980 0.420
0.955 0.622 0.084
0.342 0.975 0.921
0.039 0.381 0.919
0.661 0.615 0.584
0.697 0.989 0.753
0.670 0.333 0.983
0.337 0.696 0.822
0.665 0.331 0.485
```